(1)
Material: Cr4Cu3P6O24
Method: DFT, GGA+U
State: optimized geometry

Results
* E_tot: -7.126 eV/atom
* crystal system: triclinic
* SG: P-1, No. 2
* energy of formation: -2324 meV/atom

Cell lengths 6.310, 7.950, 9.450 Å; angles 107.04, 107.38, 100.22 degrees
Fractional coordinates of all 37 atoms:
O: 0.252 0.294 0.465
O: 0.992 0.814 0.346
O: 0.079 0.553 0.659
O: 0.777 0.796 0.065
O: 0.713 0.968 0.754
O: 0.748 0.706 0.535
O: 0.872 0.193 0.081
Cr: 0.379 0.457 0.108
Cr: 0.952 0.289 0.478
O: 0.361 0.741 0.503
O: 0.548 0.739 0.241
P: 0.098 0.606 0.837
P: 0.223 0.146 0.762
O: 0.317 0.551 0.923
Cu: 0.000 0.000 0.000
O: 0.114 0.521 0.157
O: 0.223 0.204 0.935
O: 0.287 0.032 0.246
P: 0.398 0.236 0.368
O: 0.452 0.261 0.759
O: 0.795 0.055 0.301
O: 0.128 0.807 0.919
O: 0.921 0.447 0.341
O: 0.205 0.945 0.699
Cu: 0.705 0.176 0.690
O: 0.886 0.479 0.843
Cu: 0.295 0.824 0.310
O: 0.558 0.645 0.727
O: 0.008 0.186 0.654
O: 0.683 0.449 0.077
P: 0.602 0.764 0.632
O: 0.442 0.355 0.273
P: 0.902 0.394 0.163
Cr: 0.048 0.711 0.522
O: 0.639 0.259 0.497
Cr: 0.621 0.543 0.892
P: 0.777 0.854 0.238



(2)
Material: CrCu3P4O16
Method: DFT, GGA+U
State: optimized geometry

Results
* E_tot: -6.587 eV/atom
* crystal system: monoclinic
* SG: Pm, No. 6
* energy of formation: -2012 meV/atom

Cell lengths 5.900, 4.855, 9.815 Å; angles 88.29, 90.00, 90.00 degrees
Fractional coordinates of all 24 atoms:
Cu: 0.500 0.606 0.791
P: 0.000 0.903 0.402
O: 0.500 0.372 0.945
O: 0.500 0.154 0.442
O: 0.000 0.221 0.384
Cu: 0.000 0.429 0.218
O: 0.702 0.265 0.171
O: 0.198 0.753 0.828
O: 0.500 0.739 0.117
O: 0.298 0.265 0.171
Cu: 0.500 0.940 0.283
O: 0.000 0.653 0.056
O: 0.000 0.282 0.879
O: 0.500 0.760 0.616
O: 0.796 0.760 0.329
P: 0.500 0.425 0.100
O: 0.290 0.211 0.667
O: 0.802 0.753 0.828
O: 0.204 0.760 0.329
P: 0.000 0.587 0.904
P: 0.500 0.080 0.596
O: 0.710 0.211 0.667
Cr: 0.000 0.038 0.721
O: 0.000 0.832 0.555



(3)
Material: Cr5Cu2P6O24
Method: DFT, GGA+U
State: optimized geometry

Results
* E_tot: -7.319 eV/atom
* crystal system: triclinic
* SG: P-1, No. 2
* energy of formation: -2422 meV/atom

Cell lengths 6.334, 8.021, 9.364 Å; angles 106.03, 108.02, 101.52 degrees
Fractional coordinates of all 37 atoms:
O: 0.553 0.130 0.219
Cr: 0.050 0.214 0.022
O: 0.628 0.743 0.987
O: 0.074 0.052 0.156
O: 0.453 0.763 0.270
O: 0.684 0.953 0.580
O: 0.372 0.257 0.013
O: 0.316 0.047 0.420
O: 0.883 0.975 0.343
Cr: 0.000 0.500 0.500
O: 0.126 0.300 0.417
O: 0.447 0.870 0.781
O: 0.215 0.693 0.441
Cr: 0.950 0.786 0.978
O: 0.741 0.458 0.274
O: 0.249 0.788 0.964
Cu: 0.296 0.327 0.798
P: 0.392 0.739 0.864
P: 0.608 0.261 0.136
P: 0.904 0.899 0.664
O: 0.117 0.025 0.657
Cu: 0.704 0.673 0.202
P: 0.096 0.101 0.336
Cr: 0.620 0.039 0.390
O: 0.010 0.687 0.158
O: 0.547 0.237 0.730
O: 0.205 0.446 0.202
O: 0.785 0.307 0.559
O: 0.751 0.212 0.036
P: 0.220 0.644 0.264
O: 0.874 0.700 0.583
O: 0.795 0.554 0.798
O: 0.926 0.948 0.844
O: 0.990 0.313 0.842
P: 0.780 0.356 0.736
O: 0.259 0.542 0.726
Cr: 0.380 0.961 0.610



(4)
Material: Ti3CrCu2P6O24
Method: DFT, GGA+U
State: optimized geometry

Results
* E_tot: -7.547 eV/atom
* crystal system: trigonal
* SG: R3, No. 146
* energy of formation: -2706 meV/atom

Cell lengths 8.614, 8.614, 8.614 Å; angles 60.03, 60.03, 60.03 degrees
Fractional coordinates of all 36 atoms:
Cu: 0.999 0.999 0.999
Cr: 0.858 0.858 0.858
O: 0.307 0.499 0.123
O: 0.000 0.194 0.376
O: 0.439 0.233 0.584
O: 0.499 0.123 0.307
P: 0.543 0.958 0.249
O: 0.876 0.695 0.500
O: 0.621 0.008 0.803
P: 0.958 0.249 0.543
P: 0.041 0.751 0.461
P: 0.461 0.041 0.751
O: 0.085 0.734 0.945
O: 0.376 0.000 0.194
O: 0.057 0.916 0.266
O: 0.584 0.439 0.233
O: 0.500 0.876 0.695
O: 0.123 0.307 0.499
O: 0.233 0.584 0.439
O: 0.194 0.376 0.000
P: 0.751 0.461 0.041
O: 0.417 0.556 0.767
Ti: 0.357 0.357 0.357
O: 0.695 0.500 0.876
P: 0.249 0.543 0.958
Ti: 0.142 0.142 0.142
O: 0.945 0.085 0.734
Cu: 0.500 0.500 0.500
O: 0.803 0.621 0.008
O: 0.767 0.417 0.556
O: 0.266 0.057 0.916
O: 0.734 0.945 0.085
O: 0.008 0.803 0.621
O: 0.916 0.266 0.057
Ti: 0.644 0.644 0.644
O: 0.556 0.767 0.417



(5)
Material: ZrCrCu2P3O12
Method: DFT, GGA+U
State: optimized geometry

Results
* E_tot: -7.341 eV/atom
* crystal system: triclinic
* SG: P1, No. 1
* energy of formation: -2511 meV/atom

Cell lengths 8.845, 8.869, 8.919 Å; angles 60.37, 60.99, 60.62 degrees
Fractional coordinates of all 38 atoms:
Cr: 0.643 0.074 0.644
O: 0.779 0.242 0.559
P: 0.033 0.764 0.465
O: 0.900 0.764 0.063
O: 0.219 0.757 0.447
P: 0.737 0.762 0.037
Zr: 0.862 0.425 0.855
P: 0.261 0.241 0.965
O: 0.625 0.595 0.786
Cu: 0.385 0.521 0.648
O: 0.723 0.238 0.094
O: 0.473 0.945 0.693
O: 0.097 0.245 0.937
O: 0.505 0.065 0.313
O: 0.206 0.422 0.995
O: 0.385 0.417 0.206
O: 0.688 0.930 0.880
P: 0.456 0.758 0.741
O: 0.005 0.583 0.622
Cu: 0.215 0.106 0.729
P: 0.539 0.239 0.261
O: 0.868 0.930 0.501
P: 0.967 0.238 0.530
O: 0.052 0.759 0.283
Cu: 0.611 0.480 0.352
Cr: 0.356 0.926 0.355
O: 0.995 0.418 0.375
O: 0.282 0.745 0.909
O: 0.433 0.748 0.584
O: 0.570 0.250 0.414
Zr: 0.142 0.579 0.145
O: 0.309 0.070 0.120
O: 0.580 0.746 0.225
O: 0.800 0.578 0.008
O: 0.961 0.241 0.710
Cu: 0.859 0.977 0.115
O: 0.129 0.069 0.497
O: 0.419 0.255 0.775



(6)
Material: Sr2CrCuSO3
Method: DFT, GGA+U
State: optimized geometry

Results
* E_tot: -6.241 eV/atom
* crystal system: tetragonal
* SG: P4/nmm, No. 129
* energy of formation: -2298 meV/atom

Cell lengths 3.945, 3.945, 15.622 Å; angles 90.00, 90.00, 90.00 degrees
Fractional coordinates of all 16 atoms:
Cu: 0.500 0.500 0.000
O: 0.500 0.500 0.710
Cr: 0.000 0.500 0.692
S: 0.500 0.000 0.091
Sr: 0.500 0.000 0.587
Sr: 0.500 0.000 0.814
O: 0.000 0.500 0.569
O: 0.500 0.000 0.431
Sr: 0.000 0.500 0.186
Cr: 0.500 0.000 0.308
O: 0.000 0.000 0.710
S: 0.000 0.500 0.909
O: 0.000 0.000 0.290
Sr: 0.000 0.500 0.413
Cu: 0.000 0.000 0.000
O: 0.500 0.500 0.290



(7)
Material: Sr8Tl3CrCu4O20
Method: DFT, GGA+U
State: optimized geometry

Results
* E_tot: -5.659 eV/atom
* crystal system: orthorhombic
* SG: Cmmm, No. 65
* energy of formation: -2051 meV/atom

Cell lengths 11.791, 11.791, 3.703 Å; angles 90.00, 90.00, 99.44 degrees
Fractional coordinates of all 36 atoms:
O: 0.616 0.384 0.000
Cu: 0.753 0.247 0.000
Sr: 0.987 0.268 0.500
O: 0.903 0.097 0.000
O: 0.863 0.635 0.000
O: 0.635 0.863 0.000
Sr: 0.013 0.732 0.500
O: 0.369 0.880 0.000
Tl: 0.500 0.500 0.000
O: 0.880 0.369 0.000
Sr: 0.268 0.987 0.500
O: 0.764 0.236 0.500
O: 0.916 0.916 0.500
O: 0.084 0.084 0.500
O: 0.500 0.000 0.500
Tl: 0.727 0.727 0.000
Sr: 0.775 0.472 0.500
O: 0.375 0.375 0.500
Cu: 0.000 0.500 0.000
Cr: 0.000 0.000 0.000
O: 0.631 0.120 0.000
O: 0.120 0.631 0.000
Sr: 0.472 0.775 0.500
Tl: 0.273 0.273 0.000
Cu: 0.500 0.000 0.000
Sr: 0.528 0.225 0.500
O: 0.625 0.625 0.500
O: 0.000 0.500 0.500
O: 0.365 0.137 0.000
Sr: 0.732 0.013 0.500
Cu: 0.247 0.753 0.000
O: 0.097 0.903 0.000
O: 0.137 0.365 0.000
O: 0.236 0.764 0.500
O: 0.384 0.616 0.000
Sr: 0.225 0.528 0.500



(8)
Material: Sr2YCrCu2O7
Method: DFT, GGA+U
State: optimized geometry

Results
* E_tot: -6.694 eV/atom
* crystal system: triclinic
* SG: P1, No. 1
* energy of formation: -2422 meV/atom

Cell lengths 5.484, 5.573, 12.271 Å; angles 103.29, 103.09, 89.38 degrees
Fractional coordinates of all 26 atoms:
Sr: 0.137 0.127 0.294
Y: 0.988 0.999 0.001
O: 0.109 0.369 0.501
O: 0.686 0.176 0.875
O: 0.660 0.671 0.872
O: 0.311 0.801 0.126
O: 0.289 0.868 0.647
Sr: 0.847 0.871 0.707
O: 0.147 0.723 0.355
O: 0.288 0.300 0.129
Y: 0.488 0.499 0.000
O: 0.159 0.696 0.871
O: 0.653 0.635 0.500
Sr: 0.344 0.333 0.707
Cu: 0.922 0.436 0.871
Sr: 0.640 0.666 0.295
Cu: 0.053 0.564 0.133
Cr: 0.281 0.685 0.501
O: 0.811 0.825 0.126
Cr: 0.777 0.325 0.501
Cu: 0.552 0.066 0.130
O: 0.632 0.131 0.364
O: 0.766 0.266 0.636
Cu: 0.421 0.932 0.868
O: 0.186 0.200 0.875
O: 0.789 0.327 0.131



(9)
Material: Sr2YCrCu2O8
Method: DFT, GGA+U
State: optimized geometry

Results
* E_tot: -6.634 eV/atom
* crystal system: orthorhombic
* SG: Amm2, No. 38
* energy of formation: -2364 meV/atom

Cell lengths 3.858, 3.858, 11.447 Å; angles 90.00, 90.00, 90.17 degrees
Fractional coordinates of all 14 atoms:
O: 0.500 0.000 0.125
O: 0.000 0.500 0.875
O: 0.995 0.005 0.663
Y: 0.499 0.501 0.000
O: 0.000 0.500 0.125
Sr: 0.509 0.491 0.327
Sr: 0.509 0.491 0.673
Cu: 0.000 0.000 0.151
O: 0.500 0.000 0.875
O: 0.025 0.489 0.500
O: 0.995 0.005 0.337
Cr: 0.032 0.968 0.500
O: 0.511 0.975 0.500
Cu: 0.000 0.000 0.849



(10)
Material: VCrCu2O4
Method: DFT, GGA+U
State: optimized geometry

Results
* E_tot: -6.853 eV/atom
* crystal system: monoclinic
* SG: C2/m, No. 12
* energy of formation: -1818 meV/atom

Cell lengths 3.065, 10.690, 5.998 Å; angles 80.80, 75.20, 90.00 degrees
Fractional coordinates of all 16 atoms:
V: 0.250 0.376 0.500
Cu: 0.000 0.000 0.001
O: 0.663 0.275 0.675
O: 0.161 0.028 0.678
Cu: 0.500 0.749 0.999
O: 0.339 0.721 0.321
O: 0.838 0.476 0.324
O: 0.161 0.529 0.679
O: 0.662 0.774 0.676
Cu: 0.000 0.501 0.001
O: 0.837 0.975 0.325
V: 0.250 0.874 0.500
O: 0.339 0.222 0.322
Cu: 0.500 0.250 0.999
Cr: 0.750 0.625 0.500
Cr: 0.750 0.125 0.500



(11)
Material: ZnCr4Cu3O12
Method: DFT, GGA+U
State: optimized geometry

Results
* E_tot: -6.396 eV/atom
* crystal system: trigonal
* SG: R-3, No. 148
* energy of formation: -1631 meV/atom

Cell lengths 6.352, 6.366, 6.365 Å; angles 70.49, 70.56, 109.42 degrees
Fractional coordinates of all 20 atoms:
Cr: 0.500 0.500 0.500
Cu: 0.000 0.500 0.500
Cr: 0.000 0.500 0.000
O: 0.690 0.831 0.480
Cr: 0.500 0.000 0.000
Cr: 0.000 0.000 0.500
O: 0.691 0.170 0.141
O: 0.309 0.830 0.859
O: 0.859 0.690 0.831
Cu: 0.500 0.000 0.500
O: 0.169 0.480 0.690
O: 0.521 0.689 0.170
Cu: 0.500 0.500 0.000
Zn: 0.000 0.000 0.000
O: 0.832 0.141 0.689
O: 0.479 0.311 0.830
O: 0.141 0.310 0.169
O: 0.831 0.520 0.310
O: 0.168 0.859 0.311
O: 0.310 0.169 0.520



(12)
Material: EuDyCr4O12
Method: DFT, GGA+U
State: optimized geometry

Results
* E_tot: -7.217 eV/atom
* crystal system: orthorhombic
* SG: Amm2, No. 38
* energy of formation: -1850 meV/atom

Cell lengths 5.205, 5.205, 7.442 Å; angles 90.00, 90.00, 89.17 degrees
Fractional coordinates of all 18 atoms:
O: 0.721 0.721 0.279
O: 0.031 0.477 0.500
Cr: 0.999 0.501 0.750
O: 0.224 0.776 0.249
O: 0.973 0.526 0.000
Eu: 0.007 0.007 0.000
O: 0.276 0.276 0.775
O: 0.526 0.973 0.000
Cr: 0.999 0.501 0.250
O: 0.477 0.031 0.500
O: 0.776 0.224 0.249
O: 0.721 0.721 0.721
O: 0.224 0.776 0.751
O: 0.276 0.276 0.225
O: 0.776 0.224 0.751
Cr: 0.501 0.999 0.250
Dy: 0.493 0.493 0.500
Cr: 0.501 0.999 0.750



E_tot of number 12 (EuDyCr4O12)?
-7.217 eV/atom



Which formula does entry 11 have?
ZnCr4Cu3O12



Repeat the sixth record exactly.
Material: Sr2CrCuSO3
Method: DFT, GGA+U
State: optimized geometry

Results
* E_tot: -6.241 eV/atom
* crystal system: tetragonal
* SG: P4/nmm, No. 129
* energy of formation: -2298 meV/atom

Cell lengths 3.945, 3.945, 15.622 Å; angles 90.00, 90.00, 90.00 degrees
Fractional coordinates of all 16 atoms:
Cu: 0.500 0.500 0.000
O: 0.500 0.500 0.710
Cr: 0.000 0.500 0.692
S: 0.500 0.000 0.091
Sr: 0.500 0.000 0.587
Sr: 0.500 0.000 0.814
O: 0.000 0.500 0.569
O: 0.500 0.000 0.431
Sr: 0.000 0.500 0.186
Cr: 0.500 0.000 0.308
O: 0.000 0.000 0.710
S: 0.000 0.500 0.909
O: 0.000 0.000 0.290
Sr: 0.000 0.500 0.413
Cu: 0.000 0.000 0.000
O: 0.500 0.500 0.290